A geometry-optimized Ba19Na29Li13 structure. Source: the Materials Project database, functional PBE.

Calculated values
Formation energy: -0.01 eV/atom
Volume: 41.83 Å³/atom
Spin magnetization: 0.000 μB/atom

The structure in CIF format:
```
data_Ba19Na29Li13
_chemical_formula_sum 'Ba152 Na232 Li104'
_cell_length_a 27.331
_cell_length_b 27.331
_cell_length_c 27.331
_cell_angle_alpha 90.00
_cell_angle_beta 90.00
_cell_angle_gamma 90.00
_space_group_name_H-M_alt 'F -4 3 m'
_space_group_IT_number 216
_space_group_name_Hall 'F -4 2 3'
loop_
_atom_site_label
_atom_site_type_symbol
_atom_site_fract_x
_atom_site_fract_y
_atom_site_fract_z
Ba1 Ba 0.000 0.000 0.000
Ba2 Ba 0.003 0.188 0.188
Ba3 Ba 0.042 0.158 0.342
Ba4 Ba 0.093 0.093 0.593
Ba5 Ba 0.095 0.095 0.095
Ba6 Ba 0.156 0.156 0.844
Ba7 Ba 0.250 0.250 0.750
Na1 Na 0.000 0.000 0.341
Na2 Na 0.047 0.047 0.861
Na3 Na 0.049 0.049 0.451
Na4 Na 0.050 0.050 0.232
Na5 Na 0.078 0.078 0.737
Na6 Na 0.105 0.203 0.703
Li1 Li 0.113 0.250 0.250
Li2 Li 0.134 0.134 0.225
Li3 Li 0.182 0.182 0.318
Li4 Li 0.211 0.211 0.211
```

A geometry-optimized Ni3Sn structure. Source: the Materials Project database, functional PBE.

Calculated values
Formation energy: -0.19 eV/atom
Volume: 12.92 Å³/atom

The structure in CIF format:
```
data_Ni3Sn
_chemical_formula_sum 'Ni6 Sn2'
_cell_length_a 5.3048
_cell_length_b 5.3048
_cell_length_c 4.2416
_cell_angle_alpha 90.00
_cell_angle_beta 90.00
_cell_angle_gamma 120.00
_space_group_name_H-M_alt 'P 63/m m c'
_space_group_IT_number 194
_space_group_name_Hall '-P 6c 2c'
loop_
_atom_site_label
_atom_site_type_symbol
_atom_site_fract_x
_atom_site_fract_y
_atom_site_fract_z
Ni1 Ni 0.1596 0.3192 0.2500
Sn1 Sn 0.3333 0.6667 0.7500
```

A geometry-optimized PuB4Ir4 structure. Source: the Materials Project database, functional PBE.

Calculated values
Formation energy: -0.25 eV/atom
Volume: 12.89 Å³/atom
Spin magnetization: 0.013 μB/atom

The structure in CIF format:
```
data_PuB4Ir4
_chemical_formula_sum 'Pu2 B8 Ir8'
_cell_length_a 7.678
_cell_length_b 7.678
_cell_length_c 3.936
_cell_angle_alpha 90.00
_cell_angle_beta 90.00
_cell_angle_gamma 90.00
_space_group_name_H-M_alt 'P 42/n'
_space_group_IT_number 86
loop_
_space_group_symop_operation_xyz
'x,y,z'
'-x,-y,-z'
'-y,x+1/2,z+1/2'
'y,-x+1/2,-z+1/2'
'-x+1/2,-y+1/2,z'
'x+1/2,y+1/2,-z'
'y+1/2,-x,z+1/2'
'-y+1/2,x,-z+1/2'
loop_
_atom_site_label
_atom_site_type_symbol
_atom_site_fract_x
_atom_site_fract_y
_atom_site_fract_z
Pu1 Pu 0.250 0.250 0.250
B1 B 0.024 0.594 0.137
Ir1 Ir 0.088 0.859 0.138
```

A geometry-optimized HgPd5Se structure. Source: the Materials Project database, functional PBE.

Calculated values
Formation energy: -0.27 eV/atom
Volume: 17.13 Å³/atom

The structure in CIF format:
```
data_HgPd5Se
_chemical_formula_sum 'Hg1 Pd5 Se1'
_cell_length_a 4.089
_cell_length_b 4.089
_cell_length_c 7.172
_cell_angle_alpha 90.00
_cell_angle_beta 90.00
_cell_angle_gamma 90.00
_space_group_name_H-M_alt 'P 4/m m m'
_space_group_IT_number 123
_space_group_name_Hall '-P 4 2'
loop_
_atom_site_label
_atom_site_type_symbol
_atom_site_fract_x
_atom_site_fract_y
_atom_site_fract_z
Hg1 Hg 0.000 0.000 0.000
Pd1 Pd 0.000 0.500 0.287
Pd2 Pd 0.500 0.500 0.000
Se1 Se 0.500 0.500 0.500
```

A geometry-optimized In2P3H3O10 structure. Source: the Materials Project database, functional PBE.

Calculated values
Formation energy: -1.75 eV/atom
Volume: 14.00 Å³/atom
Spin magnetization: 0.111 μB/atom

The structure in CIF format:
```
data_In2P3H3O10
_chemical_formula_sum 'In4 P6 H6 O20'
_cell_length_a 6.719
_cell_length_b 10.467
_cell_length_c 7.554
_cell_angle_alpha 90.00
_cell_angle_beta 108.45
_cell_angle_gamma 90.00
_space_group_name_H-M_alt 'P 1 21 1'
_space_group_IT_number 4
loop_
_space_group_symop_operation_xyz
'x,y,z'
'-x,y+1/2,-z'
loop_
_atom_site_label
_atom_site_type_symbol
_atom_site_fract_x
_atom_site_fract_y
_atom_site_fract_z
In1 In 0.072 0.000 0.031
In2 In 0.323 0.165 0.746
P1 P 0.195 0.277 0.310
P2 P 0.199 0.720 0.307
P3 P 0.406 0.464 0.900
H1 H 0.199 0.727 0.492
H2 H 0.387 0.334 0.316
H3 H 0.404 0.490 0.716
O1 O 0.011 0.147 0.800
O2 O 0.014 0.356 0.181
O3 O 0.182 0.280 0.510
O4 O 0.193 0.981 0.587
O5 O 0.202 0.857 0.237
O6 O 0.206 0.139 0.243
O7 O 0.223 0.534 0.932
O8 O 0.380 0.023 0.972
O9 O 0.388 0.638 0.306
O10 O 0.408 0.320 0.932
```

A geometry-optimized IrRh structure. Source: the Materials Project database, functional PBE.

Calculated values
Formation energy: -0.01 eV/atom
Volume: 14.39 Å³/atom

The structure in CIF format:
```
data_IrRh
_chemical_formula_sum 'Ir3 Rh3'
_cell_length_a 2.7301
_cell_length_b 2.7301
_cell_length_c 13.3777
_cell_angle_alpha 90.00
_cell_angle_beta 90.00
_cell_angle_gamma 120.00
_space_group_name_H-M_alt 'R -3 m'
_space_group_IT_number 166
_space_group_name_Hall '-R 3 2"'
loop_
_atom_site_label
_atom_site_type_symbol
_atom_site_fract_x
_atom_site_fract_y
_atom_site_fract_z
Ir1 Ir 0.0000 0.0000 0.0000
Rh1 Rh 0.0000 0.0000 0.5000
```

A geometry-optimized NdP3O9 structure. Source: the Materials Project database, functional PBE.

Calculated values
Formation energy: -2.99 eV/atom
Volume: 13.91 Å³/atom
Piezoelectric modulus e_max: 0.12 C/m²

The structure in CIF format:
```
data_NdP3O9
_chemical_formula_sum 'Nd4 P12 O36'
_cell_length_a 8.630
_cell_length_b 11.324
_cell_length_c 7.402
_cell_angle_alpha 90.00
_cell_angle_beta 90.00
_cell_angle_gamma 90.00
_space_group_name_H-M_alt 'C 2 2 21'
_space_group_IT_number 20
loop_
_space_group_symop_operation_xyz
'x,y,z'
'-x,-y,z+1/2'
'x,-y,-z'
'-x,y,-z+1/2'
'x+1/2,y+1/2,z'
'-x+1/2,-y+1/2,z+1/2'
'x+1/2,-y+1/2,-z'
'-x+1/2,y+1/2,-z+1/2'
loop_
_atom_site_label
_atom_site_type_symbol
_atom_site_fract_x
_atom_site_fract_y
_atom_site_fract_z
Nd1 Nd 0.126 0.000 0.000
P1 P 0.009 0.324 0.454
P2 P 0.249 0.500 0.000
O1 O 0.000 0.372 0.250
O2 O 0.022 0.195 0.035
O3 O 0.139 0.391 0.958
O4 O 0.153 0.018 0.668
O5 O 0.154 0.373 0.536
```

A geometry-optimized Rb3GePSe7 structure. Source: the Materials Project database, functional PBE.

Calculated values
Formation energy: -0.95 eV/atom
Volume: 34.41 Å³/atom
Spin magnetization: 0.000 μB/atom

The structure in CIF format:
```
data_Rb3GePSe7
_chemical_formula_sum 'Rb6 Ge2 P2 Se14'
_cell_length_a 7.425
_cell_length_b 10.012
_cell_length_c 12.198
_cell_angle_alpha 78.69
_cell_angle_beta 89.53
_cell_angle_gamma 68.57
_space_group_name_H-M_alt 'P -1'
_space_group_IT_number 2
loop_
_space_group_symop_operation_xyz
'x,y,z'
'-x,-y,-z'
loop_
_atom_site_label
_atom_site_type_symbol
_atom_site_fract_x
_atom_site_fract_y
_atom_site_fract_z
Rb1 Rb 0.059 0.480 0.290
Rb2 Rb 0.320 0.874 0.104
Rb3 Rb 0.386 0.806 0.489
Ge1 Ge 0.399 0.564 0.872
P1 P 0.231 0.071 0.719
Se1 Se 0.044 0.935 0.695
Se2 Se 0.083 0.763 0.867
Se3 Se 0.110 0.224 0.557
Se4 Se 0.154 0.167 0.868
Se5 Se 0.350 0.392 0.031
Se6 Se 0.464 0.070 0.276
Se7 Se 0.469 0.485 0.706
```